Here is a relaxed structure of Nb2CS2 from the Materials Project. Energies are from PBE.

Geometry as POSCAR:
```
Nb2CS2
1.0
1.6415 0.9477 9.5302
-1.6415 0.9477 9.5302
0.0000 -1.8955 9.5302
Nb C S
2 1 2
Direct
0.1248 0.1248 0.1248
0.8752 0.8752 0.8752
0.5000 0.5000 0.5000
0.2666 0.2666 0.2666
0.7334 0.7334 0.7334
```

Properties
Total energy after the MP2020 corrections (Ry per atom): -0.632
Electronic total energy (eV per atom): -8.394
Excess energy over the best structure of this formula in the dataset (meV/atom): 0.0
DFT formation energy (kcal/mol of atoms): -24.3